No. 1
Crystalline SrSe at its relaxed geometry. Source: the Materials Project database, functional meta-GGA r2SCAN.

Properties
The calculation puts the formation energy at -2.3526 eV/atom. As for the density: 4.469 Mg/m³. The total moment comes out at 0.000 Bohr magnetons per cell. The value obtained for the uncorrected energy is -34.2 eV per formula unit. As for the symmetry: Fm-3m (225).

abc: 4.4402 4.4402 4.4402
angles: 60.00 60.00 60.00
Closest atoms and distances in Å follow each position.
Fractional positions:
Sr1 0.0000 0.0000 0.0000  6 Se 3.14
Se1 0.5000 0.5000 0.5000  6 Sr 3.14

***

No. 2
Crystalline SrTb2Se4 at its relaxed geometry. Source: the Materials Project database, functional meta-GGA r2SCAN.

Properties
The calculation puts the formation energy at -2.2648 eV/atom. As for the density: 6.095 Mg/m³. The total moment comes out at 0.000 Bohr magnetons per cell. The value obtained for the uncorrected energy is -150.7 eV per formula unit. As for the symmetry: Pnma (62).

abc: 12.6060 4.1581 14.9966
angles: 90.00 90.00 90.00
Closest atoms and distances in Å follow each position.
Fractional positions:
Sr1 0.2415 0.2500 0.1643  8 Se 3.22-3.45
Sr2 0.2585 0.7500 0.6643  8 Se 3.22-3.45
Sr3 0.7415 0.2500 0.3357  8 Se 3.22-3.45
Sr4 0.7585 0.7500 0.8357  8 Se 3.22-3.45
Tb1 0.0651 0.2500 0.3895  6 Se 2.85-2.90
Tb2 0.0820 0.2500 0.9013  6 Se 2.81-2.90
Tb3 0.4180 0.7500 0.4013  6 Se 2.81-2.90
Tb4 0.4349 0.7500 0.8895  6 Se 2.85-2.90
Tb5 0.5651 0.2500 0.1105  6 Se 2.85-2.90
Tb6 0.5820 0.2500 0.5987  6 Se 2.81-2.90
Tb7 0.9180 0.7500 0.0987  6 Se 2.81-2.90
Tb8 0.9349 0.7500 0.6105  6 Se 2.85-2.90
Se1 0.0252 0.7500 0.7844  3 Tb 2.81-2.85
Se2 0.0885 0.2500 0.5784  3 Tb 2.85-2.88
Se3 0.1309 0.7500 0.0293  3 Tb 2.88-2.90, 2 Sr 3.22
Se4 0.2065 0.7500 0.3260  3 Tb 2.89-2.90, 2 Sr 3.22
Se5 0.2935 0.2500 0.8260  3 Tb 2.89-2.90, 2 Sr 3.22
Se6 0.3691 0.2500 0.5293  3 Tb 2.88-2.90, 2 Sr 3.22
Se7 0.4115 0.7500 0.0784  3 Tb 2.85-2.88
Se8 0.4748 0.2500 0.2844  3 Tb 2.81-2.85
Se9 0.5252 0.7500 0.7156  3 Tb 2.81-2.85
Se10 0.5885 0.2500 0.9216  3 Tb 2.85-2.88
Se11 0.6309 0.7500 0.4707  3 Tb 2.88-2.90, 2 Sr 3.22
Se12 0.7065 0.7500 0.1740  3 Tb 2.89-2.90, 2 Sr 3.22
Se13 0.7935 0.2500 0.6740  3 Tb 2.89-2.90, 2 Sr 3.22
Se14 0.8691 0.2500 0.9707  3 Tb 2.88-2.90, 2 Sr 3.22
Se15 0.9115 0.7500 0.4216  3 Tb 2.85-2.88
Se16 0.9748 0.2500 0.2156  3 Tb 2.81-2.85

***

No. 3
Crystalline SrY2Se4 at its relaxed geometry. Source: the Materials Project database, functional meta-GGA r2SCAN.

Properties
The calculation puts the formation energy at -2.2673 eV/atom. As for the density: 4.936 Mg/m³. The total moment comes out at 0.000 Bohr magnetons per cell. The value obtained for the uncorrected energy is -128.9 eV per formula unit. As for the symmetry: Pnma (62).

abc: 12.6326 4.1402 14.9555
angles: 90.00 90.00 90.00
Closest atoms and distances in Å follow each position.
Fractional positions:
Sr1 0.2397 0.2500 0.1653  8 Se 3.21-3.49
Sr2 0.2603 0.7500 0.6653  8 Se 3.21-3.49
Sr3 0.7397 0.2500 0.3347  8 Se 3.21-3.49
Sr4 0.7603 0.7500 0.8347  8 Se 3.21-3.49
Y1 0.0608 0.2500 0.3887  6 Se 2.83-2.89
Y2 0.0848 0.2500 0.9022  6 Se 2.81-2.89
Y3 0.4152 0.7500 0.4022  6 Se 2.81-2.89
Y4 0.4392 0.7500 0.8887  6 Se 2.83-2.89
Y5 0.5608 0.2500 0.1113  6 Se 2.83-2.89
Y6 0.5848 0.2500 0.5978  6 Se 2.81-2.89
Y7 0.9152 0.7500 0.0979  6 Se 2.81-2.89
Y8 0.9392 0.7500 0.6113  6 Se 2.83-2.89
Se1 0.0299 0.7500 0.7842  3 Y 2.81-2.83
Se2 0.0915 0.2500 0.5766  3 Y 2.84-2.87
Se3 0.1283 0.7500 0.0312  3 Y 2.87-2.88, 2 Sr 3.21
Se4 0.2035 0.7500 0.3281  3 Y 2.89, 2 Sr 3.23
Se5 0.2965 0.2500 0.8281  3 Y 2.89, 2 Sr 3.23
Se6 0.3717 0.2500 0.5312  3 Y 2.87-2.88, 2 Sr 3.21
Se7 0.4085 0.7500 0.0766  3 Y 2.84-2.87
Se8 0.4701 0.2500 0.2842  3 Y 2.81-2.83
Se9 0.5299 0.7500 0.7158  3 Y 2.81-2.83
Se10 0.5915 0.2500 0.9234  3 Y 2.84-2.87
Se11 0.6283 0.7500 0.4688  3 Y 2.87-2.88, 2 Sr 3.21
Se12 0.7035 0.7500 0.1719  3 Y 2.89, 2 Sr 3.23
Se13 0.7965 0.2500 0.6719  3 Y 2.89, 2 Sr 3.23
Se14 0.8717 0.2500 0.9688  3 Y 2.87-2.88, 2 Sr 3.21
Se15 0.9085 0.7500 0.4234  3 Y 2.84-2.87
Se16 0.9701 0.2500 0.2158  3 Y 2.81-2.83